The following is a DFT calculation (GGA-PBE) of crystalline Sr2SeS at its relaxed geometry.

Cell lengths 7.579, 7.579, 7.579 Å; angles 33.52, 33.52, 33.52 degrees
Fractional coordinates of all 4 atoms:
1 Sr 0.247 0.247 0.247
2 Sr 0.753 0.753 0.753
3 Se 0.000 0.000 0.000
4 S 0.500 0.500 0.500

Values from the calculation:
- E (MP2020): -19.9 eV per cell
- Space-group type: R-3m, No. 166

---

The following is a DFT calculation (GGA-PBE) of crystalline TaSeS at its relaxed geometry.

Cell lengths 3.433, 3.433, 6.400 Å; angles 90.00, 90.00, 120.00 degrees
Fractional coordinates of all 3 atoms:
1 Ta 0.667 0.333 0.011
2 Se 0.333 0.667 0.744
3 S 0.000 0.000 0.245

Values from the calculation:
- E (MP2020): -22.7 eV per cell
- Space-group type: P3m1, No. 156

---

The following is a DFT calculation (GGA-PBE) of crystalline U2TeSeS2 at its relaxed geometry.

Cell lengths 3.805, 6.778, 11.099 Å; angles 90.00, 90.00, 90.00 degrees
Fractional coordinates of all 12 atoms:
1 U 0.750 0.184 0.670
2 U 0.750 0.684 0.830
3 U 0.250 0.794 0.345
4 U 0.250 0.294 0.155
5 Te 0.250 0.246 0.459
6 Te 0.250 0.746 0.041
7 Se 0.750 0.787 0.539
8 Se 0.750 0.287 0.961
9 S 0.750 0.029 0.239
10 S 0.750 0.529 0.261
11 S 0.250 0.960 0.769
12 S 0.250 0.460 0.731

Values from the calculation:
- E (MP2020): -90.6 eV per cell
- Space-group type: Pmc2_1, No. 26

---

no.,formation enthalpy at 0 K (eV per atom)
1,-2.222
2,-1.068
3,-1.299